Here is a relaxed Y4CdPd crystal from Materials Project. Energies are from PBE-GGA.

## Properties
Space-group type: F-43m (216)

```
Y4CdPd
1.0
0.0000 6.9034 6.9034
6.9034 0.0000 6.9034
6.9034 6.9034 0.0000
Y Cd Pd
16 4 4
direct
0.1833 0.1833 0.8167
0.1833 0.8167 0.1833
0.1833 0.8167 0.8167
0.3962 0.3962 0.3962
0.3962 0.3962 0.8113
0.3962 0.8113 0.3962
0.5606 0.5606 0.9394
0.5606 0.9394 0.5606
0.5606 0.9394 0.9394
0.8113 0.3962 0.3962
0.8167 0.1833 0.1833
0.8167 0.1833 0.8167
0.8167 0.8167 0.1833
0.9394 0.5606 0.5606
0.9394 0.5606 0.9394
0.9394 0.9394 0.5606
0.1680 0.1680 0.1680
0.1680 0.1680 0.4960
0.1680 0.4960 0.1680
0.4960 0.1680 0.1680
0.1826 0.6058 0.6058
0.6058 0.1826 0.6058
0.6058 0.6058 0.1826
0.6058 0.6058 0.6058
```

---

Here is a relaxed Y10Cd3Pd crystal from Materials Project. Energies are from PBE-GGA.

## Properties
Space-group type: P6_3/mmc (194)

```
Y10Cd3Pd
1.0
9.7701 0.0000 0.0000
-4.8851 8.4612 0.0000
0.0000 0.0000 9.7975
Y Cd Pd
20 6 2
direct
0.0000 0.0000 0.0000
0.0000 0.0000 0.5000
0.0867 0.5433 0.2500
0.2073 0.4146 0.5595
0.2073 0.4146 0.9405
0.2073 0.7927 0.5595
0.2073 0.7927 0.9405
0.4146 0.2073 0.0595
0.4146 0.2073 0.4405
0.4567 0.5433 0.2500
0.4567 0.9133 0.2500
0.5433 0.0867 0.7500
0.5433 0.4567 0.7500
0.5854 0.7927 0.5595
0.5854 0.7927 0.9405
0.7927 0.2073 0.0595
0.7927 0.2073 0.4405
0.7927 0.5854 0.0595
0.7927 0.5854 0.4405
0.9133 0.4567 0.7500
0.1158 0.2317 0.2500
0.1158 0.8842 0.2500
0.2317 0.1158 0.7500
0.7683 0.8842 0.2500
0.8842 0.1158 0.7500
0.8842 0.7683 0.7500
0.3333 0.6667 0.7500
0.6667 0.3333 0.2500
```

---

Number 1: calculated formation energy -0.4582 eV per atom. Number 2: calculated formation energy -0.3053 eV per atom.